1.
{"formula": "Ti5Si", "functional": "PBE", "state": "optimized geometry", "cell": [[0.5320, -8.6831, 0.8412], [-4.6688, -0.4656, -1.8533], [1.4829, 2.5992, -4.3887]], "species": ["Ti", "Ti", "Ti", "Ti", "Ti", "Ti", "Ti", "Ti", "Ti", "Ti", "Si", "Si"], "frac_coords": [[0.3484, 0.9664, 0.0457], [0.6974, 0.7690, 0.5000], [0.3026, 0.7690, 0.5000], [0.1516, 0.4664, 0.9543], [0.0000, 0.8616, 0.5000], [0.8484, 0.4664, 0.0457], [0.1974, 0.2690, 0.5000], [0.8026, 0.2690, 0.5000], [0.6516, 0.9664, 0.9543], [0.5000, 0.3616, 0.5000], [0.0000, 0.9661, 0.0000], [0.5000, 0.4661, 0.0000]], "density_g_cm3": 4.54, "energy_ev_per_atom": -7.775, "energy_mp2020_ev_per_atom": -7.76, "delta_e_f_ev_per_atom": -0.279}


2.
{"formula": "Ti5Si3", "functional": "PBE", "state": "optimized geometry", "cell": [[-4.0626, 3.0042, 5.4983], [0.8791, -7.4059, -0.3747], [4.1975, 0.3511, 2.9097]], "species": ["Ti", "Ti", "Ti", "Ti", "Ti", "Ti", "Ti", "Ti", "Ti", "Ti", "Si", "Si", "Si", "Si", "Si", "Si"], "frac_coords": [[0.3333, 0.6667, 0.0000], [0.6667, 0.3333, 0.5000], [0.6667, 0.3333, 0.0000], [0.3333, 0.6667, 0.5000], [0.2505, 0.0000, 0.2500], [0.2505, 0.2505, 0.7500], [0.0000, 0.7495, 0.7500], [0.0000, 0.2505, 0.2500], [0.7495, 0.7495, 0.2500], [0.7495, 0.0000, 0.7500], [0.6081, 0.0000, 0.2500], [0.6081, 0.6081, 0.7500], [0.0000, 0.3919, 0.7500], [0.0000, 0.6081, 0.2500], [0.3919, 0.3919, 0.2500], [0.3919, 0.0000, 0.7500]], "density_g_cm3": 4.35, "energy_ev_per_atom": -7.739, "energy_mp2020_ev_per_atom": -7.71, "delta_e_f_ev_per_atom": -0.743, "crystal_system": "hexagonal"}


3.
{"formula": "Ti3Si", "functional": "PBE", "state": "optimized geometry", "cell": [[-3.8891, -2.0165, -0.7630], [-2.6540, -1.0721, 3.4031], [-3.8094, 2.2059, 0.6294]], "species": ["Ti", "Ti", "Ti", "Si"], "frac_coords": [[0.7500, 0.7500, 0.7500], [0.2500, 0.2500, 0.2500], [0.0000, 0.0000, 0.0000], [0.5000, 0.5000, 0.5000]], "density_g_cm3": 4.59, "energy_ev_per_atom": -7.597, "energy_mp2020_ev_per_atom": -7.58, "delta_e_f_ev_per_atom": -0.302, "crystal_system": "cubic"}